This record from the Materials Project database describes a relaxed CaSnS3 crystal. The functional is GGA-PBE.

Results
Uncorrected energy ... -4.48 eV/atom
Formation energy from the elements ... -1.093 eV/atom

a = 4.9525 Å, b = 4.9525 Å, c = 5.3986 Å
α = 90.00°, β = 90.00°, γ = 109.83°
Last column: nearest neighbours and their distance in Å.
Sites, in units of the cell vectors:
1 Ca 0.1933 0.1933 0.0000  6 S 2.84-2.94
2 Sn 0.6660 0.6660 0.5000  6 S 2.70-2.93
3 S 0.6952 0.6952 0.0000  2 Sn 2.70, 2 Ca 2.84-2.86
4 S 0.3744 0.0918 0.5000  1 S 2.29
5 S 0.0918 0.3744 0.5000  1 S 2.29